Record 1
The following is a PBE calculation of a relaxed structure of CuH5C6SO, from the Materials Project database.

Output
Energy of formation ... -0.199 eV per atom
E ... -6.22 eV/atom

Lattice parameters (Å, degrees): 4.062 5.377 28.567 90.00 90.00 90.00
Fractional positions:
Cu1 0.520 0.249 0.986
Cu2 0.480 0.251 0.486
Cu3 0.980 0.749 0.014
Cu4 0.020 0.751 0.514
H1 0.699 0.480 0.844
H2 0.301 0.020 0.344
H3 0.801 0.980 0.156
H4 0.199 0.520 0.656
H5 0.693 0.652 0.926
H6 0.307 0.848 0.426
H7 0.807 0.152 0.074
H8 0.193 0.348 0.574
H9 0.271 0.276 0.878
H10 0.729 0.224 0.378
H11 0.229 0.776 0.122
H12 0.771 0.724 0.622
H13 0.273 0.102 0.797
H14 0.727 0.398 0.297
H15 0.227 0.602 0.203
H16 0.773 0.898 0.703
H17 0.192 0.592 0.765
H18 0.808 0.908 0.265
H19 0.308 0.092 0.235
H20 0.692 0.408 0.735
C1 0.989 0.778 0.817
C2 0.011 0.722 0.317
C3 0.511 0.278 0.183
C4 0.489 0.222 0.683
C5 0.823 0.655 0.852
C6 0.177 0.845 0.352
C7 0.677 0.155 0.148
C8 0.323 0.345 0.648
C9 0.827 0.749 0.898
C10 0.173 0.751 0.398
C11 0.673 0.249 0.102
C12 0.327 0.251 0.602
C13 0.997 0.970 0.908
C14 0.003 0.530 0.408
C15 0.503 0.470 0.092
C16 0.497 0.030 0.592
C17 0.152 0.098 0.871
C18 0.848 0.402 0.371
C19 0.348 0.598 0.129
C20 0.652 0.902 0.629
C21 0.148 0.004 0.825
C22 0.852 0.496 0.325
C23 0.352 0.504 0.175
C24 0.648 0.996 0.675
S1 0.015 0.092 0.966
S2 0.985 0.408 0.466
S3 0.485 0.592 0.034
S4 0.515 0.908 0.534
O1 0.982 0.674 0.771
O2 0.018 0.826 0.271
O3 0.518 0.174 0.229
O4 0.482 0.326 0.729

***

Record 2
The following is a PBE calculation of a relaxed structure of CuSi2H18C9O2, from the Materials Project database.

Output
Energy of formation ... -0.278 eV per atom
E ... -5.52 eV/atom

Lattice parameters (Å, degrees): 9.249 9.249 18.824 81.60 81.60 64.07
Fractional positions:
Cu1 0.374 0.320 0.084
Cu2 0.680 0.626 0.416
Cu3 0.626 0.680 0.916
Cu4 0.320 0.374 0.584
Si1 0.417 0.204 0.257
Si2 0.796 0.583 0.243
Si3 0.583 0.796 0.743
Si4 0.204 0.417 0.757
Si5 0.163 0.099 0.072
Si6 0.901 0.837 0.428
Si7 0.837 0.901 0.928
Si8 0.099 0.163 0.572
H1 0.426 0.945 0.319
H2 0.055 0.574 0.181
H3 0.574 0.055 0.681
H4 0.945 0.426 0.819
H5 0.241 0.110 0.344
H6 0.890 0.759 0.156
H7 0.759 0.890 0.656
H8 0.110 0.241 0.844
H9 0.420 0.073 0.382
H10 0.927 0.580 0.118
H11 0.580 0.927 0.618
H12 0.073 0.420 0.882
H13 0.690 0.002 0.216
H14 0.998 0.310 0.284
H15 0.310 0.998 0.784
H16 0.002 0.690 0.716
H17 0.703 0.124 0.277
H18 0.876 0.297 0.223
H19 0.297 0.876 0.723
H20 0.124 0.703 0.777
H21 0.666 0.203 0.186
H22 0.797 0.334 0.314
H23 0.334 0.797 0.814
H24 0.203 0.666 0.686
H25 0.195 0.458 0.298
H26 0.542 0.805 0.202
H27 0.805 0.542 0.702
H28 0.458 0.195 0.798
H29 0.341 0.498 0.235
H30 0.502 0.659 0.265
H31 0.659 0.502 0.765
H32 0.498 0.341 0.735
H33 0.383 0.427 0.326
H34 0.573 0.617 0.174
H35 0.617 0.573 0.674
H36 0.427 0.383 0.826
H37 0.062 0.972 0.181
H38 0.028 0.938 0.319
H39 0.938 0.028 0.819
H40 0.972 0.062 0.681
H41 0.250 0.831 0.142
H42 0.169 0.750 0.358
H43 0.750 0.169 0.858
H44 0.831 0.250 0.642
H45 0.069 0.881 0.102
H46 0.119 0.931 0.398
H47 0.931 0.119 0.898
H48 0.881 0.069 0.602
H49 0.982 0.371 0.019
H50 0.629 0.018 0.481
H51 0.018 0.629 0.981
H52 0.371 0.982 0.519
H53 0.883 0.309 0.098
H54 0.691 0.117 0.402
H55 0.117 0.691 0.902
H56 0.309 0.883 0.598
H57 0.904 0.229 0.015
H58 0.771 0.096 0.485
H59 0.096 0.771 0.985
H60 0.229 0.904 0.515
H61 0.321 0.119 0.956
H62 0.881 0.679 0.544
H63 0.679 0.881 0.044
H64 0.119 0.321 0.456
H65 0.232 0.984 0.954
H66 0.016 0.768 0.546
H67 0.768 0.016 0.046
H68 0.984 0.232 0.454
H69 0.407 0.920 0.000
H70 0.080 0.593 0.500
H71 0.593 0.080 0.000
H72 0.920 0.407 0.500
C1 0.329 0.200 0.174
C2 0.800 0.671 0.326
C3 0.671 0.800 0.826
C4 0.200 0.329 0.674
C5 0.268 0.176 0.124
C6 0.824 0.732 0.376
C7 0.732 0.824 0.876
C8 0.176 0.268 0.624
C9 0.371 0.070 0.332
C10 0.930 0.629 0.168
C11 0.629 0.930 0.668
C12 0.070 0.371 0.832
C13 0.640 0.126 0.232
C14 0.874 0.360 0.268
C15 0.360 0.874 0.768
C16 0.126 0.640 0.732
C17 0.325 0.417 0.281
C18 0.583 0.675 0.219
C19 0.675 0.583 0.719
C20 0.417 0.325 0.781
C21 0.133 0.930 0.130
C22 0.070 0.867 0.370
C23 0.867 0.070 0.870
C24 0.930 0.133 0.630
C25 0.965 0.267 0.049
C26 0.733 0.035 0.451
C27 0.035 0.733 0.951
C28 0.267 0.965 0.549
C29 0.293 0.023 0.988
C30 0.977 0.707 0.512
C31 0.707 0.977 0.012
C32 0.023 0.293 0.488
C33 0.531 0.515 0.033
C34 0.485 0.469 0.467
C35 0.469 0.485 0.967
C36 0.515 0.531 0.533
O1 0.500 0.449 0.094
O2 0.551 0.500 0.406
O3 0.500 0.551 0.906
O4 0.449 0.500 0.594
O5 0.392 0.398 0.978
O6 0.602 0.608 0.522
O7 0.608 0.602 0.022
O8 0.398 0.392 0.478

***

Record 3
The following is a PBE calculation of a relaxed structure of U3Cu2H10C2O20, from the Materials Project database.

Output
Energy of formation ... -2.060 eV per atom
E ... -6.92 eV/atom

Lattice parameters (Å, degrees): 6.992 7.820 7.892 90.53 95.37 91.40
Fractional positions:
U1 0.000 0.000 0.000
U2 0.478 0.805 0.863
U3 0.522 0.195 0.137
Cu1 0.734 0.503 0.498
Cu2 0.266 0.497 0.502
H1 0.481 0.460 0.759
H2 0.519 0.540 0.241
H3 0.814 0.227 0.673
H4 0.186 0.773 0.327
H5 0.668 0.181 0.506
H6 0.332 0.819 0.494
H7 0.358 0.188 0.610
H8 0.642 0.812 0.390
H9 0.159 0.229 0.682
H10 0.841 0.771 0.318
C1 0.966 0.686 0.769
C2 0.034 0.314 0.231
O1 0.990 0.139 0.808
O2 0.010 0.861 0.192
O3 0.443 0.931 0.666
O4 0.557 0.069 0.334
O5 0.506 0.674 0.054
O6 0.494 0.326 0.946
O7 0.132 0.752 0.831
O8 0.868 0.248 0.169
O9 0.685 0.002 0.996
O10 0.315 0.998 0.004
O11 0.820 0.764 0.820
O12 0.180 0.236 0.180
O13 0.955 0.558 0.668
O14 0.045 0.442 0.332
O15 0.463 0.561 0.686
O16 0.537 0.439 0.314
O17 0.708 0.271 0.593
O18 0.292 0.729 0.407
O19 0.244 0.259 0.591
O20 0.756 0.741 0.409

***

Record 4
The following is a PBE calculation of a relaxed structure of K5CuCO5, from the Materials Project database.

Output
Energy of formation ... -1.695 eV per atom
E ... -5.04 eV/atom

Lattice parameters (Å, degrees): 7.635 7.635 8.865 90.00 90.00 91.52
Fractional positions:
K1 0.465 0.965 0.759
K2 0.539 0.469 0.749
K3 0.969 0.039 0.749
K4 0.051 0.551 0.766
K5 0.551 0.051 0.234
K6 0.469 0.539 0.251
K7 0.039 0.969 0.251
K8 0.965 0.465 0.241
K9 0.248 0.248 0.500
K10 0.748 0.748 0.500
Cu1 0.251 0.251 0.000
Cu2 0.751 0.751 0.000
C1 0.771 0.271 0.486
C2 0.271 0.771 0.514
O1 0.265 0.238 0.797
O2 0.738 0.765 0.797
O3 0.765 0.738 0.203
O4 0.238 0.265 0.203
O5 0.377 0.877 0.441
O6 0.615 0.322 0.448
O7 0.822 0.115 0.448
O8 0.322 0.615 0.552
O9 0.115 0.822 0.552
O10 0.877 0.377 0.559

***

Record 5
The following is a PBE calculation of a relaxed structure of K2CuC2O6, from the Materials Project database.

Output
Excess energy over the best structure of this formula in the dataset ... 34 meV/atom
Energy of formation ... -1.825 eV per atom
E ... -6.40 eV/atom

Lattice parameters (Å, degrees): 10.667 9.476 6.596 81.02 61.34 37.65
Fractional positions:
K1 0.576 0.020 0.583
K2 0.806 0.591 0.029
K3 0.661 0.434 0.682
K4 0.220 0.677 0.432
Cu1 0.996 0.999 0.006
Cu2 0.250 0.254 0.245
C1 0.168 0.577 0.999
C2 0.256 0.997 0.577
C3 0.251 0.997 0.094
C4 0.660 0.090 0.997
O1 0.993 0.817 0.164
O2 0.020 0.172 0.815
O3 0.094 0.217 0.242
O4 0.448 0.242 0.221
O5 0.102 0.496 0.097
O6 0.313 0.088 0.480
O7 0.157 0.948 0.141
O8 0.756 0.145 0.949
O9 0.352 0.471 0.767
O10 0.402 0.772 0.473
O11 0.470 0.855 0.909
O12 0.780 0.902 0.838

***

Record 6
The following is a PBE calculation of a relaxed structure of K2CuC2O6, from the Materials Project database.

Output
Excess energy over the best structure of this formula in the dataset ... 0 meV/atom
Energy of formation ... -1.859 eV per atom
E ... -6.44 eV/atom

Lattice parameters (Å, degrees): 10.667 9.476 6.596 81.02 61.34 37.65
Fractional positions:
K1 0.575 0.025 0.585
K2 0.815 0.585 0.025
K3 0.665 0.435 0.675
K4 0.225 0.675 0.435
Cu1 0.002 0.998 0.998
Cu2 0.252 0.248 0.248
C1 0.160 0.586 0.003
C2 0.251 0.003 0.586
C3 0.247 0.999 0.090
C4 0.664 0.090 0.999
O1 0.000 0.808 0.163
O2 0.029 0.163 0.808
O3 0.087 0.221 0.250
O4 0.442 0.250 0.221
O5 0.111 0.490 0.090
O6 0.309 0.090 0.490
O7 0.160 0.941 0.139
O8 0.760 0.139 0.941
O9 0.344 0.477 0.776
O10 0.403 0.776 0.477
O11 0.474 0.847 0.906
O12 0.773 0.906 0.847

***

Record 7
The following is a PBE calculation of a relaxed structure of K3CuPCO7, from the Materials Project database.

Output
Energy of formation ... -2.138 eV per atom
E ... -6.13 eV/atom

Lattice parameters (Å, degrees): 7.290 5.525 9.541 89.19 90.00 90.00
Fractional positions:
K1 0.750 0.241 0.922
K2 0.984 0.749 0.720
K3 0.516 0.749 0.720
K4 0.484 0.251 0.280
K5 0.016 0.251 0.280
K6 0.250 0.759 0.078
Cu1 0.250 0.234 0.641
Cu2 0.750 0.766 0.359
P1 0.750 0.288 0.575
P2 0.250 0.712 0.425
C1 0.250 0.267 0.909
C2 0.750 0.733 0.091
O1 0.750 0.753 0.956
O2 0.250 0.074 0.831
O3 0.250 0.475 0.845
O4 0.922 0.250 0.670
O5 0.578 0.250 0.670
O6 0.750 0.560 0.522
O7 0.250 0.882 0.553
O8 0.750 0.118 0.447
O9 0.250 0.440 0.478
O10 0.422 0.750 0.330
O11 0.078 0.750 0.330
O12 0.750 0.525 0.155
O13 0.750 0.926 0.169
O14 0.250 0.247 0.044

***

Record 8
The following is a PBE calculation of a relaxed structure of Na2LiCuPCO7, from the Materials Project database.

Output
Energy of formation ... -2.149 eV per atom
E ... -6.23 eV/atom

Lattice parameters (Å, degrees): 6.676 5.206 8.814 87.26 90.00 90.00
Fractional positions:
Na1 0.004 0.736 0.740
Na2 0.496 0.736 0.740
Na3 0.504 0.264 0.260
Na4 0.996 0.264 0.260
Li1 0.750 0.161 0.879
Li2 0.250 0.839 0.121
Cu1 0.250 0.220 0.647
Cu2 0.750 0.780 0.353
P1 0.750 0.307 0.586
P2 0.250 0.693 0.414
C1 0.250 0.268 0.946
C2 0.750 0.732 0.054
O1 0.750 0.784 0.909
O2 0.250 0.069 0.858
O3 0.250 0.498 0.888
O4 0.933 0.233 0.689
O5 0.567 0.233 0.689
O6 0.250 0.825 0.566
O7 0.750 0.608 0.555
O8 0.250 0.392 0.445
O9 0.750 0.175 0.434
O10 0.433 0.767 0.311
O11 0.067 0.767 0.311
O12 0.750 0.502 0.112
O13 0.750 0.931 0.142
O14 0.250 0.216 0.091

***

What is the formula in the eighth record?
Na2LiCuPCO7